No. 1
Material: Ba3Np
Method: DFT, PBE-GGA
State: relaxed

* symmetry: Fm-3m, No. 225
* raw total energy: -3.996 eV/atom
* DFT formation energy: 2.7 eV per formula unit
* total magnetization: 5.0 μB/f.u.

Cell: 6.811 6.811 6.811 Å, 60.00 60.00 60.00°
Fractional coordinates of all 4 atoms:
Ba: 0.000 0.000 0.000
Ba: 0.250 0.250 0.250
Ba: 0.750 0.750 0.750
Np: 0.500 0.500 0.500

***

No. 2
Material: Li2FeS2
Method: DFT, PBE-GGA
State: relaxed

* excess energy over the best structure of this formula in the dataset: 0.71 eV per formula unit
* symmetry: P2_1/c, No. 14
* raw total energy: -4.858 eV/atom
* energy with MP2020 corrections: -5.059 eV per atom
* DFT formation energy: -4.7 eV per formula unit
* total magnetization: 3.5 μB/f.u.

Cell: 3.376 8.389 6.209 Å, 90.00 108.40 90.00°
Fractional coordinates of all 10 atoms:
Li: 0.192 0.152 0.458
Li: 0.192 0.348 0.958
Li: 0.808 0.652 0.042
Li: 0.808 0.848 0.542
Fe: 0.500 0.000 0.000
Fe: 0.500 0.500 0.500
S: 0.131 0.601 0.738
S: 0.131 0.899 0.238
S: 0.869 0.101 0.762
S: 0.869 0.399 0.262

***

What is the DFT formation energy in the second record? -4.7 eV per formula unit

***

What is the DFT formation energy in the first record? 2.7 eV per formula unit